The following is a DFT calculation (PBE) of a relaxed structure of Ba2PrHfO6.

```
data_Ba2PrHfO6
_chemical_formula_sum 'Ba8 Pr4 Hf4 O24'
_cell_length_a 8.8185
_cell_length_b 8.8185
_cell_length_c 8.8185
_cell_angle_alpha 90.00
_cell_angle_beta 90.00
_cell_angle_gamma 90.00
_space_group_name_H-M_alt 'P n -3'
_space_group_IT_number 201
loop_
_space_group_symop_operation_xyz
'x,y,z'
'-x,-y,-z'
'-x+1/2,-y+1/2,z'
'x+1/2,y+1/2,-z'
'x,-y+1/2,-z+1/2'
'-x,y+1/2,z+1/2'
'-x+1/2,y,-z+1/2'
'x+1/2,-y,z+1/2'
'z,x,y'
'-z,-x,-y'
'z,-x+1/2,-y+1/2'
'-z,x+1/2,y+1/2'
'-z+1/2,x,-y+1/2'
'z+1/2,-x,y+1/2'
'-z+1/2,-x+1/2,y'
'z+1/2,x+1/2,-y'
'y,z,x'
'-y,-z,-x'
'-y+1/2,z,-x+1/2'
'y+1/2,-z,x+1/2'
'-y+1/2,-z+1/2,x'
'y+1/2,z+1/2,-x'
'y,-z+1/2,-x+1/2'
'-y,z+1/2,x+1/2'
loop_
_atom_site_label
_atom_site_fract_x
_atom_site_fract_y
_atom_site_fract_z
_atom_site_occupancy
Ba1 0.2500 0.2500 0.2500 1
Ba2 0.2500 0.2500 0.7500 1
Pr1 0.0000 0.0000 0.0000 1
Hf1 0.0000 0.0000 0.5000 1
O1 0.0238 0.5267 0.7653 1
```

Computed properties:
The calculation puts the calculated formation energy at -3.357 eV per atom. The calculation puts the electronic total energy at -310.85 eV/cell.